Entry 1:
LiFe2P2O8, relaxed, DFT PBE with a Hubbard U; largest piezoelectric modulus = 0.33 C/m²; mass density = 3.63 g cm⁻³; energy relative to the lowest polymorph listed for this composition = 0 meV/atom; energy relative to the elements = -2.3888 eV/atom
1.0
4.088 -2.713 0.000
4.088 2.713 0.000
-0.094 0.000 6.365
Li Fe P O
1 2 2 8
direct
0.000 0.000 0.000 Li
0.666 0.666 0.734 Fe
0.668 0.668 0.254 Fe
0.019 0.019 0.503 P
0.325 0.325 0.992 P
0.367 0.894 0.511 O
0.423 0.423 0.195 O
0.435 0.435 0.799 O
0.439 0.975 0.982 O
0.894 0.367 0.511 O
0.908 0.908 0.699 O
0.921 0.921 0.296 O
0.975 0.439 0.982 O



Entry 2:
Li5Fe4P8O28, relaxed, DFT PBE with a Hubbard U; mass density = 3.03 g cm⁻³; energy relative to the lowest polymorph listed for this composition = 8 meV/atom; energy relative to the elements = -2.4828 eV/atom
1.0
9.759 0.000 0.000
0.091 9.796 0.000
2.251 0.021 10.929
Li Fe P O
10 8 16 56
direct
0.000 0.000 0.000 Li
0.022 0.289 0.933 Li
0.269 0.518 0.903 Li
0.462 0.320 0.424 Li
0.498 0.938 0.993 Li
0.530 0.632 0.401 Li
0.567 0.636 0.899 Li
0.737 0.128 0.494 Li
0.795 0.828 0.482 Li
0.976 0.611 0.423 Li
0.092 0.796 0.773 Fe
0.142 0.019 0.274 Fe
0.142 0.500 0.623 Fe
0.182 0.305 0.129 Fe
0.590 0.150 0.777 Fe
0.629 0.940 0.278 Fe
0.640 0.436 0.622 Fe
0.681 0.644 0.124 Fe
0.005 0.011 0.564 P
0.007 0.580 0.026 P
0.260 0.075 0.865 P
0.268 0.515 0.333 P
0.316 0.303 0.692 P
0.364 0.771 0.196 P
0.412 0.672 0.687 P
0.453 0.147 0.206 P
0.496 0.937 0.565 P
0.508 0.369 0.020 P
0.763 0.870 0.871 P
0.768 0.428 0.332 P
0.826 0.646 0.689 P
0.865 0.173 0.203 P
0.909 0.273 0.695 P
0.945 0.798 0.213 P
0.018 0.662 0.147 O
0.022 0.190 0.224 O
0.039 0.919 0.159 O
0.063 0.893 0.629 O
0.070 0.437 0.042 O
0.099 0.652 0.917 O
0.102 0.054 0.443 O
0.164 0.563 0.451 O
0.167 0.158 0.967 O
0.192 0.938 0.851 O
0.205 0.397 0.274 O
0.215 0.409 0.769 O
0.254 0.679 0.672 O
0.262 0.155 0.738 O
0.275 0.634 0.233 O
0.282 0.881 0.280 O
0.297 0.331 0.562 O
0.298 0.143 0.183 O
0.350 0.384 0.015 O
0.357 0.967 0.537 O
0.375 0.792 0.061 O
0.412 0.489 0.356 O
0.413 0.063 0.879 O
0.420 0.623 0.813 O
0.467 0.154 0.337 O
0.469 0.307 0.710 O
0.478 0.821 0.676 O
0.496 0.587 0.581 O
0.511 0.747 0.232 O
0.513 0.288 0.144 O
0.539 0.028 0.139 O
0.568 0.511 0.038 O
0.572 0.053 0.622 O
0.588 0.289 0.912 O
0.606 0.872 0.457 O
0.664 0.364 0.443 O
0.668 0.784 0.971 O
0.693 0.007 0.855 O
0.693 0.550 0.279 O
0.721 0.541 0.755 O
0.759 0.251 0.665 O
0.769 0.792 0.744 O
0.785 0.083 0.306 O
0.790 0.320 0.221 O
0.797 0.806 0.181 O
0.824 0.654 0.555 O
0.852 0.572 0.021 O
0.858 0.989 0.543 O
0.867 0.135 0.073 O
0.906 0.296 0.827 O
0.908 0.461 0.357 O
0.915 0.879 0.888 O
0.946 0.783 0.347 O
0.978 0.633 0.715 O
0.986 0.383 0.608 O
0.999 0.136 0.658 O



Entry 3:
Li2FePO5, relaxed, DFT PBE with a Hubbard U; mass density = 3.13 g cm⁻³; energy relative to the lowest polymorph listed for this composition = 38 meV/atom; energy relative to the elements = -2.3741 eV/atom
1.0
13.212 0.000 0.000
0.000 5.124 0.000
-6.055 0.000 11.329
Li Fe P O
16 8 8 40
direct
0.079 0.224 0.413 Li
0.079 0.276 0.913 Li
0.137 0.721 0.321 Li
0.137 0.779 0.821 Li
0.356 0.214 0.682 Li
0.356 0.286 0.182 Li
0.419 0.739 0.343 Li
0.419 0.761 0.843 Li
0.581 0.239 0.157 Li
0.581 0.261 0.657 Li
0.644 0.714 0.818 Li
0.644 0.786 0.318 Li
0.863 0.221 0.179 Li
0.863 0.279 0.679 Li
0.921 0.724 0.087 Li
0.921 0.776 0.587 Li
0.066 0.243 0.690 Fe
0.066 0.257 0.190 Fe
0.438 0.729 0.629 Fe
0.438 0.771 0.129 Fe
0.562 0.229 0.871 Fe
0.562 0.271 0.371 Fe
0.934 0.743 0.810 Fe
0.934 0.757 0.310 Fe
0.162 0.732 0.587 P
0.162 0.768 0.087 P
0.338 0.226 0.429 P
0.338 0.274 0.929 P
0.662 0.726 0.071 P
0.662 0.774 0.571 P
0.838 0.232 0.913 P
0.838 0.268 0.413 P
0.003 0.535 0.726 O
0.003 0.965 0.226 O
0.104 0.676 0.956 O
0.104 0.824 0.456 O
0.109 0.616 0.153 O
0.109 0.884 0.653 O
0.144 0.068 0.095 O
0.144 0.432 0.595 O
0.207 0.232 0.856 O
0.207 0.268 0.356 O
0.292 0.695 0.145 O
0.292 0.805 0.645 O
0.366 0.572 0.954 O
0.366 0.928 0.454 O
0.380 0.125 0.047 O
0.380 0.375 0.547 O
0.399 0.154 0.861 O
0.399 0.346 0.361 O
0.491 0.526 0.777 O
0.491 0.974 0.277 O
0.509 0.026 0.723 O
0.509 0.474 0.223 O
0.601 0.654 0.639 O
0.601 0.846 0.139 O
0.620 0.625 0.453 O
0.620 0.875 0.953 O
0.634 0.072 0.546 O
0.634 0.428 0.046 O
0.708 0.195 0.355 O
0.708 0.305 0.855 O
0.793 0.732 0.644 O
0.793 0.768 0.144 O
0.856 0.568 0.405 O
0.856 0.932 0.905 O
0.891 0.116 0.347 O
0.891 0.384 0.847 O
0.896 0.176 0.544 O
0.896 0.324 0.044 O
0.997 0.035 0.774 O
0.997 0.465 0.274 O



Entry 4:
Li3Fe3P8O29, relaxed, DFT PBE with a Hubbard U; mass density = 2.44 g cm⁻³; energy relative to the elements = -2.2455 eV/atom
1.0
8.689 -4.973 0.000
8.689 4.973 0.000
-0.486 0.000 14.171
Li Fe P O
6 6 16 58
direct
0.000 0.000 0.000 Li
0.000 0.000 0.500 Li
0.092 0.226 0.068 Li
0.226 0.092 0.568 Li
0.774 0.908 0.432 Li
0.908 0.774 0.932 Li
0.001 0.440 0.252 Fe
0.440 0.001 0.752 Fe
0.440 0.560 0.250 Fe
0.560 0.440 0.750 Fe
0.560 0.999 0.248 Fe
0.999 0.560 0.748 Fe
0.092 0.694 0.335 P
0.093 0.228 0.844 P
0.220 0.696 0.840 P
0.228 0.093 0.344 P
0.304 0.780 0.660 P
0.306 0.908 0.165 P
0.329 0.332 0.638 P
0.332 0.329 0.138 P
0.668 0.671 0.862 P
0.671 0.668 0.362 P
0.694 0.092 0.835 P
0.696 0.220 0.340 P
0.772 0.907 0.656 P
0.780 0.304 0.160 P
0.907 0.772 0.156 P
0.908 0.306 0.665 P
0.000 0.193 0.587 O
0.000 0.807 0.413 O
0.013 0.787 0.237 O
0.036 0.209 0.937 O
0.083 0.664 0.836 O
0.086 0.545 0.331 O
0.087 0.383 0.834 O
0.089 0.258 0.333 O
0.183 0.800 0.928 O
0.187 0.320 0.162 O
0.189 0.483 0.673 O
0.193 0.000 0.087 O
0.199 0.801 0.750 O
0.200 0.817 0.572 O
0.209 0.036 0.437 O
0.213 0.987 0.263 O
0.258 0.089 0.833 O
0.259 0.660 0.336 O
0.317 0.483 0.175 O
0.320 0.187 0.662 O
0.332 0.341 0.529 O
0.336 0.917 0.664 O
0.340 0.741 0.164 O
0.341 0.332 0.029 O
0.378 0.551 0.836 O
0.383 0.087 0.334 O
0.449 0.622 0.664 O
0.455 0.914 0.169 O
0.483 0.189 0.173 O
0.483 0.317 0.675 O
0.517 0.683 0.325 O
0.517 0.811 0.827 O
0.545 0.086 0.831 O
0.551 0.378 0.336 O
0.617 0.913 0.666 O
0.622 0.449 0.164 O
0.659 0.668 0.971 O
0.660 0.259 0.836 O
0.664 0.083 0.336 O
0.668 0.659 0.471 O
0.680 0.813 0.338 O
0.683 0.517 0.825 O
0.741 0.340 0.664 O
0.742 0.911 0.167 O
0.787 0.013 0.737 O
0.791 0.964 0.563 O
0.800 0.183 0.428 O
0.801 0.199 0.250 O
0.807 0.000 0.913 O
0.811 0.517 0.327 O
0.813 0.680 0.838 O
0.817 0.200 0.072 O
0.911 0.742 0.667 O
0.913 0.617 0.166 O
0.914 0.455 0.669 O
0.917 0.336 0.164 O
0.964 0.791 0.063 O
0.987 0.213 0.763 O



Entry 5:
LiFeP3O9, relaxed, DFT PBE with a Hubbard U; mass density = 3.05 g cm⁻³; energy relative to the lowest polymorph listed for this composition = 3 meV/atom; energy relative to the elements = -2.5514 eV/atom
1.0
8.536 0.000 0.000
0.000 8.639 0.000
0.000 0.000 8.855
Li Fe P O
4 4 12 36
direct
0.153 0.135 0.114 Li
0.347 0.865 0.614 Li
0.653 0.365 0.886 Li
0.847 0.635 0.386 Li
0.128 0.857 0.341 Fe
0.372 0.143 0.841 Fe
0.628 0.643 0.659 Fe
0.872 0.357 0.159 Fe
0.028 0.322 0.818 P
0.189 0.478 0.309 P
0.200 0.809 0.938 P
0.300 0.191 0.438 P
0.311 0.522 0.809 P
0.472 0.678 0.318 P
0.528 0.178 0.182 P
0.689 0.022 0.691 P
0.700 0.691 0.062 P
0.800 0.309 0.562 P
0.811 0.978 0.191 P
0.972 0.822 0.682 P
0.040 0.775 0.845 O
0.092 0.613 0.364 O
0.104 0.877 0.584 O
0.124 0.382 0.181 O
0.129 0.194 0.878 O
0.139 0.464 0.764 O
0.158 0.861 0.094 O
0.192 0.092 0.344 O
0.228 0.364 0.450 O
0.272 0.636 0.950 O
0.308 0.908 0.844 O
0.342 0.139 0.594 O
0.361 0.536 0.264 O
0.371 0.806 0.378 O
0.376 0.618 0.681 O
0.396 0.123 0.084 O
0.408 0.387 0.864 O
0.460 0.225 0.345 O
0.540 0.725 0.155 O
0.592 0.887 0.636 O
0.604 0.623 0.416 O
0.624 0.118 0.819 O
0.629 0.306 0.122 O
0.639 0.036 0.236 O
0.658 0.639 0.906 O
0.692 0.408 0.656 O
0.728 0.136 0.550 O
0.772 0.864 0.050 O
0.808 0.592 0.156 O
0.842 0.361 0.406 O
0.861 0.964 0.736 O
0.871 0.694 0.622 O
0.876 0.882 0.319 O
0.896 0.377 0.916 O
0.908 0.113 0.136 O
0.960 0.275 0.655 O



Entry 6:
LiFe2P3O12, relaxed, DFT PBE with a Hubbard U; mass density = 3.02 g cm⁻³; energy relative to the lowest polymorph listed for this composition = 30 meV/atom; energy relative to the elements = -2.2202 eV/atom
1.0
8.255 0.000 0.000
-4.077 7.192 0.000
-4.108 -2.377 7.480
Li Fe P O
2 4 6 24
direct
0.169 0.440 0.380 Li
0.831 0.560 0.620 Li
0.294 0.647 0.929 Fe
0.300 0.147 0.455 Fe
0.700 0.853 0.545 Fe
0.706 0.353 0.071 Fe
0.209 0.971 0.747 P
0.222 0.758 0.253 P
0.491 0.458 0.252 P
0.509 0.542 0.748 P
0.778 0.242 0.747 P
0.791 0.029 0.253 P
0.010 0.989 0.687 O
0.011 0.600 0.241 O
0.141 0.764 0.754 O
0.217 0.734 0.080 O
0.276 0.996 0.604 O
0.290 0.971 0.311 O
0.316 0.344 0.588 O
0.323 0.319 0.303 O
0.358 0.488 0.080 O
0.377 0.617 0.758 O
0.390 0.717 0.404 O
0.399 0.127 0.925 O
0.601 0.873 0.075 O
0.610 0.283 0.596 O
0.623 0.383 0.242 O
0.642 0.512 0.920 O
0.677 0.681 0.697 O
0.684 0.656 0.412 O
0.710 0.029 0.689 O
0.724 0.004 0.396 O
0.783 0.266 0.920 O
0.859 0.236 0.246 O
0.989 0.400 0.759 O
0.990 0.011 0.313 O



Entry 7:
Li2FeP2O7, relaxed, DFT PBE with a Hubbard U; mass density = 2.79 g cm⁻³; energy relative to the lowest polymorph listed for this composition = 32 meV/atom; energy relative to the elements = -2.5392 eV/atom
1.0
-3.541 0.231 6.704
4.582 -5.947 -1.089
8.541 5.703 4.382
Li Fe P O
8 4 8 28
direct
0.285 0.715 0.000 Li
0.285 0.715 0.500 Li
0.715 0.285 0.500 Li
0.715 0.285 0.000 Li
0.714 0.286 0.250 Li
0.714 0.286 0.750 Li
0.286 0.714 0.250 Li
0.286 0.714 0.750 Li
0.306 0.306 0.621 Fe
0.694 0.694 0.379 Fe
0.306 0.306 0.121 Fe
0.694 0.694 0.879 Fe
0.909 0.686 0.128 P
0.909 0.686 0.628 P
0.091 0.314 0.372 P
0.091 0.314 0.872 P
0.314 0.091 0.372 P
0.314 0.091 0.872 P
0.686 0.909 0.128 P
0.686 0.909 0.628 P
0.104 0.104 0.374 O
0.104 0.104 0.874 O
0.896 0.896 0.126 O
0.896 0.896 0.626 O
0.265 0.877 0.374 O
0.265 0.877 0.874 O
0.877 0.265 0.374 O
0.877 0.265 0.874 O
0.123 0.735 0.126 O
0.123 0.735 0.626 O
0.735 0.123 0.126 O
0.735 0.123 0.626 O
0.199 0.421 0.257 O
0.199 0.421 0.757 O
0.801 0.579 0.243 O
0.801 0.579 0.743 O
0.579 0.801 0.243 O
0.579 0.801 0.743 O
0.421 0.199 0.257 O
0.421 0.199 0.757 O
0.798 0.575 0.015 O
0.798 0.575 0.515 O
0.575 0.798 0.015 O
0.575 0.798 0.515 O
0.202 0.425 0.485 O
0.202 0.425 0.985 O
0.425 0.202 0.485 O
0.425 0.202 0.985 O